No. 1
## CeMg6Cd (PBE-GGA)

Data for a geometry-optimized CeMg6Cd structure.

E = -2.03 eV per atom

Cell: 5.1267 6.3988 12.0943 Å, 90.00 90.00 90.00°
Closest atoms and distances in Å follow each position.
Element x y z (fractional)
Ce (0.5000, 0.0000, 0.1835)  10 Mg 3.22-3.47, 2 Cd 3.23
Ce (0.5000, 0.5000, 0.6835)  10 Mg 3.22-3.47, 2 Cd 3.23
Mg (0.5000, 0.2521, 0.4279)  1 Cd 3.13, 8 Mg 3.13-3.31, 2 Ce 3.37-3.47
Mg (0.5000, 0.7479, 0.4279)  1 Cd 3.13, 8 Mg 3.13-3.31, 2 Ce 3.37-3.47
Mg (0.0000, 0.7526, 0.0766)  6 Mg 3.13-3.30, 2 Cd 3.16, 2 Ce 3.28
Mg (0.0000, 0.2474, 0.0766)  6 Mg 3.13-3.30, 2 Cd 3.16, 2 Ce 3.28
Mg (0.0000, 0.0000, 0.3440)  8 Mg 3.19-3.24, 2 Ce 3.22
Mg (0.0000, 0.5000, 0.3143)  10 Mg 3.22-3.55, 2 Cd 3.25
Mg (0.5000, 0.7521, 0.9279)  1 Cd 3.13, 8 Mg 3.13-3.31, 2 Ce 3.37-3.47
Mg (0.5000, 0.2479, 0.9279)  1 Cd 3.13, 8 Mg 3.13-3.31, 2 Ce 3.37-3.47
Mg (0.0000, 0.2526, 0.5766)  6 Mg 3.13-3.30, 2 Cd 3.16, 2 Ce 3.28
Mg (0.0000, 0.7474, 0.5766)  6 Mg 3.13-3.30, 2 Cd 3.16, 2 Ce 3.28
Mg (0.0000, 0.5000, 0.8440)  8 Mg 3.19-3.24, 2 Ce 3.22
Mg (0.0000, 0.0000, 0.8143)  10 Mg 3.22-3.55, 2 Cd 3.25
Cd (0.5000, 0.5000, 0.1493)  8 Mg 3.13-3.25, 2 Ce 3.23
Cd (0.5000, 0.0000, 0.6493)  8 Mg 3.13-3.25, 2 Ce 3.23

***

No. 2
## Li5Mg (PBE-GGA)

Data for a geometry-optimized Li5Mg structure.

Space group = P-62m, No. 189
Polymorph energy (0 for the lowest one) = 1.0 meV per atom

Cell: 5.2730 5.2730 4.9860 Å, 90.00 90.00 120.00°
Closest atoms and distances in Å follow each position.
Element x y z (fractional)
Li (0.0000, 0.6652, 0.0000)  10 Li 3.04-3.06, 2 Mg 3.05
Li (0.3333, 0.6667, 0.5000)  3 Mg 3.04, 9 Li 3.04-3.05
Li (0.6652, 0.0000, 0.0000)  10 Li 3.04-3.06, 2 Mg 3.05
Li (0.6667, 0.3333, 0.5000)  3 Mg 3.04, 9 Li 3.04-3.05
Li (0.3348, 0.3348, 0.0000)  10 Li 3.04-3.06, 2 Mg 3.05
Mg (0.0000, 0.0000, 0.5000)  12 Li 3.04-3.05

***

No. 3
## FeCu8Sb3S13N6 (PBE-GGA)

Data for a geometry-optimized FeCu8Sb3S13N6 structure.

Space group = Fm-3c, No. 226
E = -4.41 eV per atom

Cell: 12.4646 12.4646 12.4646 Å, 60.00 60.00 60.00°
Closest atoms and distances in Å follow each position.
Element x y z (fractional)
Fe (0.2500, 0.2500, 0.2500)  6 N 1.85
Fe (0.7500, 0.7500, 0.7500)  6 N 1.85
Cu (0.0841, 0.7476, 0.0841)  3 S 2.27
Cu (0.7476, 0.0841, 0.0841)  3 S 2.27
Cu (0.0841, 0.0841, 0.7476)  3 S 2.27
Cu (0.0841, 0.0841, 0.0841)  3 S 2.27
Cu (0.5841, 0.5841, 0.2476)  3 S 2.27
Cu (0.2476, 0.5841, 0.5841)  3 S 2.27
Cu (0.5841, 0.2476, 0.5841)  3 S 2.27
Cu (0.5841, 0.5841, 0.5841)  3 S 2.27
Cu (0.9159, 0.2524, 0.9159)  3 S 2.27
Cu (0.2524, 0.9159, 0.9159)  3 S 2.27
Cu (0.9159, 0.9159, 0.2524)  3 S 2.27
Cu (0.9159, 0.9159, 0.9159)  3 S 2.27
Cu (0.4159, 0.4159, 0.7524)  3 S 2.27
Cu (0.7524, 0.4159, 0.4159)  3 S 2.27
Cu (0.4159, 0.7524, 0.4159)  3 S 2.27
Cu (0.4159, 0.4159, 0.4159)  3 S 2.27
Sb (0.2500, 0.7500, 0.7500)  4 S 2.42
Sb (0.7500, 0.7500, 0.2500)  4 S 2.42
Sb (0.2500, 0.7500, 0.2500)  4 S 2.42
Sb (0.7500, 0.2500, 0.2500)  4 S 2.42
Sb (0.7500, 0.2500, 0.7500)  4 S 2.42
Sb (0.2500, 0.2500, 0.7500)  4 S 2.42
S (0.2920, 0.7080, 0.9397)  2 Cu 2.27, 1 Sb 2.42
S (0.9397, 0.7080, 0.0603)  2 Cu 2.27, 1 Sb 2.42
S (0.0603, 0.7080, 0.2920)  2 Cu 2.27, 1 Sb 2.42
S (0.7080, 0.2920, 0.0603)  2 Cu 2.27, 1 Sb 2.42
S (0.7080, 0.9397, 0.2920)  2 Cu 2.27, 1 Sb 2.42
S (0.7080, 0.0603, 0.9397)  2 Cu 2.27, 1 Sb 2.42
S (0.0603, 0.9397, 0.7080)  2 Cu 2.27, 1 Sb 2.42
S (0.2920, 0.0603, 0.7080)  2 Cu 2.27, 1 Sb 2.42
S (0.9397, 0.2920, 0.7080)  2 Cu 2.27, 1 Sb 2.42
S (0.9397, 0.0603, 0.2920)  2 Cu 2.27, 1 Sb 2.42
S (0.0603, 0.2920, 0.9397)  2 Cu 2.27, 1 Sb 2.42
S (0.2920, 0.9397, 0.0603)  2 Cu 2.27, 1 Sb 2.42
S (0.7920, 0.4397, 0.2080)  2 Cu 2.27, 1 Sb 2.42
S (0.4397, 0.5603, 0.2080)  2 Cu 2.27, 1 Sb 2.42
S (0.5603, 0.7920, 0.2080)  2 Cu 2.27, 1 Sb 2.42
S (0.2080, 0.5603, 0.7920)  2 Cu 2.27, 1 Sb 2.42
S (0.2080, 0.7920, 0.4397)  2 Cu 2.27, 1 Sb 2.42
S (0.2080, 0.4397, 0.5603)  2 Cu 2.27, 1 Sb 2.42
S (0.5603, 0.2080, 0.4397)  2 Cu 2.27, 1 Sb 2.42
S (0.7920, 0.2080, 0.5603)  2 Cu 2.27, 1 Sb 2.42
S (0.4397, 0.2080, 0.7920)  2 Cu 2.27, 1 Sb 2.42
S (0.4397, 0.7920, 0.5603)  2 Cu 2.27, 1 Sb 2.42
S (0.5603, 0.4397, 0.7920)  2 Cu 2.27, 1 Sb 2.42
S (0.7920, 0.5603, 0.4397)  2 Cu 2.27, 1 Sb 2.42
S (0.0000, 0.0000, 0.0000)  8 Cu 2.57
S (0.5000, 0.5000, 0.5000)  8 Cu 2.57
N (0.3551, 0.3551, 0.1449)  1 Fe 1.85
N (0.1449, 0.3551, 0.1449)  1 Fe 1.85
N (0.1449, 0.3551, 0.3551)  1 Fe 1.85
N (0.3551, 0.1449, 0.3551)  1 Fe 1.85
N (0.3551, 0.1449, 0.1449)  1 Fe 1.85
N (0.1449, 0.1449, 0.3551)  1 Fe 1.85
N (0.8551, 0.6449, 0.8551)  1 Fe 1.85
N (0.6449, 0.6449, 0.8551)  1 Fe 1.85
N (0.6449, 0.8551, 0.8551)  1 Fe 1.85
N (0.8551, 0.8551, 0.6449)  1 Fe 1.85
N (0.8551, 0.6449, 0.6449)  1 Fe 1.85
N (0.6449, 0.8551, 0.6449)  1 Fe 1.85